# 1
A relaxed structure of DyZnGa, computed with meta-GGA r2SCAN.

The space group is P6_3/mmc (No. 194) and the conventional cell measures 4.3543, 4.3543 and 7.2454 Å, with angles of 90.00, 90.00 and 120.00 degrees. The inequivalent atoms are Dy at (0.0000, 0.0000, 0.0000), Zn at (0.3333, 0.6667, 0.2500) and Ga at (0.3333, 0.6667, 0.7500).

The calculation puts the energy of formation from the pure elements at -0.652 eV per atom.


# 2
A relaxed structure of Dy2ZnGa, computed with meta-GGA r2SCAN.

The space group is Fm-3m (No. 225) and the conventional cell measures 7.088, 7.088 and 7.088 Å, with angles of 90.00, 90.00 and 90.00 degrees. The inequivalent atoms are Dy at (0.250, 0.250, 0.250), Zn at (0.000, 0.000, 0.000) and Ga at (0.000, 0.000, 0.500).

The calculation puts the energy of formation from the pure elements at -0.550 eV per atom.


# 3
A relaxed structure of GdDy3Ni4, computed with meta-GGA r2SCAN.

The space group is Pm (No. 6) and the conventional cell measures 5.376, 4.182 and 7.013 Å, with angles of 90.00, 90.23 and 90.00 degrees. The inequivalent atoms are Gd at (0.000, 0.000, 0.000), Dy at (0.233, 0.000, 0.500), Dy at (0.500, 0.500, 0.140), Dy at (0.733, 0.500, 0.638), Ni at (0.246, 0.500, 0.781), Ni at (0.492, 0.000, 0.854), Ni at (0.740, 0.000, 0.358) and Ni at (0.991, 0.500, 0.286).

The calculation puts the energy of formation from the pure elements at -0.391 eV per atom.


# 4
A relaxed structure of GdDyNi2, computed with meta-GGA r2SCAN.

The space group is Pm (No. 6) and the conventional cell measures 5.404, 4.195 and 10.592 Å, with angles of 90.00, 97.00 and 90.00 degrees. The inequivalent atoms are Gd at (0.000, 0.000, 0.000), Gd at (0.159, 0.000, 0.663), Gd at (0.488, 0.500, 0.907), Dy at (0.329, 0.500, 0.241), Dy at (0.638, 0.500, 0.571), Dy at (0.849, 0.000, 0.332), Ni at (0.125, 0.500, 0.474), Ni at (0.364, 0.000, 0.427), Ni at (0.533, 0.000, 0.098), Ni at (0.689, 0.000, 0.759), Ni at (0.797, 0.500, 0.146) and Ni at (0.954, 0.500, 0.809).

The distance to the lowest polymorph of the same formula comes out at 2 meV/atom. The calculation puts the energy of formation from the pure elements at -0.362 eV per atom.


# 5
A relaxed structure of GdDyNi2, computed with meta-GGA r2SCAN.

The space group is Amm2 (No. 38) and the conventional cell measures 4.177, 3.741 and 10.218 Å, with angles of 90.00, 90.00 and 90.00 degrees. The inequivalent atoms are Gd at (0.000, 0.000, 0.000), Dy at (0.500, 0.000, 0.722), Ni at (0.000, 0.000, 0.289) and Ni at (0.500, 0.000, 0.429).

The distance to the lowest polymorph of the same formula comes out at 0 meV/atom. The calculation puts the energy of formation from the pure elements at -0.364 eV per atom.


# 6
A relaxed structure of GdDyRh2, computed with meta-GGA r2SCAN.

The space group is Fm-3m (No. 225) and the conventional cell measures 6.853, 6.853 and 6.853 Å, with angles of 90.00, 90.00 and 90.00 degrees. The inequivalent atoms are Gd at (0.000, 0.000, 0.000), Dy at (0.000, 0.000, 0.500) and Rh at (0.250, 0.250, 0.250).

The calculation puts the energy of formation from the pure elements at -0.857 eV per atom.


# 7
A relaxed structure of GdDyTl2, computed with meta-GGA r2SCAN.

The space group is Fm-3m (No. 225) and the conventional cell measures 7.586, 7.586 and 7.586 Å, with angles of 90.00, 90.00 and 90.00 degrees. The inequivalent atoms are Gd at (0.000, 0.000, 0.000), Dy at (0.000, 0.000, 0.500) and Tl at (0.250, 0.250, 0.250).

The calculation puts the energy of formation from the pure elements at -0.441 eV per atom.


# 8
A relaxed structure of Dy3Ge4, computed with meta-GGA r2SCAN.

The space group is Cmcm (No. 63) and the conventional cell measures 4.057, 10.630 and 14.199 Å, with angles of 90.00, 90.00 and 90.00 degrees. The inequivalent atoms are Dy at (0.000, 0.045, 0.250), Dy at (0.000, 0.330, 0.097), Ge at (0.000, 0.000, 0.000), Ge at (0.000, 0.227, 0.750) and Ge at (0.000, 0.380, 0.609).

The calculation puts the energy of formation from the pure elements at -0.871 eV per atom.


# 9
A relaxed structure of Dy5Ge3, computed with meta-GGA r2SCAN.

The space group is P6_3/mcm (No. 193) and the conventional cell measures 8.4633, 8.4633 and 6.3996 Å, with angles of 90.00, 90.00 and 120.00 degrees. The inequivalent atoms are Dy at (0.0000, 0.2422, 0.2500), Dy at (0.3333, 0.6667, 0.0000) and Ge at (0.0000, 0.3932, 0.7500).

The calculation puts the energy of formation from the pure elements at -0.920 eV per atom.


# 10
A relaxed structure of Dy3Ge5, computed with meta-GGA r2SCAN.

The space group is P-62c (No. 190) and the conventional cell measures 6.8848, 6.8848 and 8.2809 Å, with angles of 90.00, 90.00 and 120.00 degrees. The inequivalent atoms are Dy at (0.0000, 0.3329, 0.0000), Ge at (0.0000, 0.0000, 0.2500), Ge at (0.0680, 0.6696, 0.2500) and Ge at (0.3333, 0.6667, 0.7500).

The distance to the lowest polymorph of the same formula comes out at 2 meV/atom. The calculation puts the energy of formation from the pure elements at -0.777 eV per atom.


# 11
A relaxed structure of Dy3Ge5, computed with meta-GGA r2SCAN.

The space group is C2 (No. 5) and the conventional cell measures 5.743, 13.710 and 9.096 Å, with angles of 90.00, 108.16 and 90.00 degrees. The inequivalent atoms are Dy at (0.000, 0.000, 0.000), Dy at (0.000, 0.250, 0.500), Dy at (0.154, 0.508, 0.335), Dy at (0.180, 0.758, 0.834), Ge at (0.000, 0.445, 0.000), Ge at (0.000, 0.694, 0.500), Ge at (0.126, 0.906, 0.370), Ge at (0.161, 0.336, 0.825), Ge at (0.162, 0.087, 0.325) and Ge at (0.245, 0.155, 0.871).

The distance to the lowest polymorph of the same formula comes out at 0 meV/atom. The calculation puts the energy of formation from the pure elements at -0.779 eV per atom.


# 12
A relaxed structure of DyGe, computed with meta-GGA r2SCAN.

The space group is Cmcm (No. 63) and the conventional cell measures 4.266, 10.681 and 3.941 Å, with angles of 90.00, 90.00 and 90.00 degrees. The inequivalent atoms are Dy at (0.000, 0.138, 0.250) and Ge at (0.000, 0.415, 0.250).

The calculation puts the energy of formation from the pure elements at -0.976 eV per atom.